(1)
Compound: ZrSi
Source: the Materials Project database
Functional: GGA-PBE
Structure: relaxed

Structure (CIF):
```
data_ZrSi
_cell_length_a 4.6183
_cell_length_b 4.6183
_cell_length_c 4.6183
_cell_angle_alpha 111.67
_cell_angle_beta 111.67
_cell_angle_gamma 105.16
_space_group_name_H-M_alt 'P 1'
_space_group_IT_number 1
loop_
_space_group_symop_operation_xyz
'x,y,z'
loop_
_atom_site_label
_atom_site_fract_x
_atom_site_fract_y
_atom_site_fract_z
Zr1 0.3750 0.6250 0.7500
Zr2 0.6250 0.3750 0.2500
Si1 0.1250 0.8750 0.2500
Si2 0.8750 0.1250 0.7500
```

Properties
calculated formation energy: -0.03 eV/f.u.
electronic total energy: -28.1 eV/cell



(2)
Compound: In2BP3O12
Source: the Materials Project database
Functional: GGA-PBE
Structure: relaxed

Structure (CIF):
```
data_In2BP3O12
_cell_length_a 8.3028
_cell_length_b 8.3028
_cell_length_c 7.8985
_cell_angle_alpha 90.00
_cell_angle_beta 90.00
_cell_angle_gamma 120.00
_space_group_name_H-M_alt 'P 1'
_space_group_IT_number 1
loop_
_space_group_symop_operation_xyz
'x,y,z'
loop_
_atom_site_label
_atom_site_fract_x
_atom_site_fract_y
_atom_site_fract_z
In1 0.3333 0.6667 0.0440
In2 0.3333 0.6667 0.4560
In3 0.6667 0.3333 0.5440
In4 0.6667 0.3333 0.9560
B1 0.0000 0.0000 0.2500
B2 0.0000 0.0000 0.7500
P1 0.0419 0.3506 0.7500
P2 0.3087 0.9581 0.7500
P3 0.3506 0.3087 0.2500
P4 0.6494 0.6913 0.7500
P5 0.6913 0.0419 0.2500
P6 0.9581 0.6494 0.2500
O1 0.0593 0.8726 0.2500
O2 0.1248 0.6122 0.2500
O3 0.1274 0.1867 0.2500
O4 0.1531 0.4196 0.5872
O5 0.1531 0.4196 0.9128
O6 0.1867 0.0593 0.7500
O7 0.2664 0.8469 0.5872
O8 0.2664 0.8469 0.9128
O9 0.3878 0.5126 0.2500
O10 0.4196 0.2664 0.0872
O11 0.4196 0.2664 0.4128
O12 0.4874 0.8752 0.2500
O13 0.5126 0.1248 0.7500
O14 0.5804 0.7336 0.5872
O15 0.5804 0.7336 0.9128
O16 0.6122 0.4874 0.7500
O17 0.7336 0.1531 0.0872
O18 0.7336 0.1531 0.4128
O19 0.8133 0.9407 0.2500
O20 0.8469 0.5804 0.0872
O21 0.8469 0.5804 0.4128
O22 0.8726 0.8133 0.7500
O23 0.8752 0.3878 0.7500
O24 0.9407 0.1274 0.7500
```

Properties
calculated formation energy: -46.26 eV/f.u.
electronic total energy: -251.6 eV/cell



(3)
Compound: Sc6Te2Ru
Source: the Materials Project database
Functional: GGA-PBE
Structure: relaxed

Structure (CIF):
```
data_Sc6Te2Ru
_cell_length_a 7.7773
_cell_length_b 7.7773
_cell_length_c 3.8500
_cell_angle_alpha 90.00
_cell_angle_beta 90.00
_cell_angle_gamma 120.00
_space_group_name_H-M_alt 'P 1'
_space_group_IT_number 1
loop_
_space_group_symop_operation_xyz
'x,y,z'
loop_
_atom_site_label
_atom_site_fract_x
_atom_site_fract_y
_atom_site_fract_z
Sc1 0.0000 0.2394 0.0000
Sc2 0.0000 0.6164 0.5000
Sc3 0.2394 0.0000 0.0000
Sc4 0.3836 0.3836 0.5000
Sc5 0.6164 0.0000 0.5000
Sc6 0.7606 0.7606 0.0000
Te1 0.3333 0.6667 0.0000
Te2 0.6667 0.3333 0.0000
Ru1 0.0000 0.0000 0.5000
```

Properties
calculated formation energy: -6.53 eV/f.u.
electronic total energy: -60.1 eV/cell



(4)
Compound: Pr2In8Pd
Source: the Materials Project database
Functional: GGA-PBE
Structure: relaxed

Structure (CIF):
```
data_Pr2In8Pd
_cell_length_a 4.7542
_cell_length_b 4.7542
_cell_length_c 12.4147
_cell_angle_alpha 90.00
_cell_angle_beta 90.00
_cell_angle_gamma 90.00
_space_group_name_H-M_alt 'P 1'
_space_group_IT_number 1
loop_
_space_group_symop_operation_xyz
'x,y,z'
loop_
_atom_site_label
_atom_site_fract_x
_atom_site_fract_y
_atom_site_fract_z
Pr1 0.0000 0.0000 0.1910
Pr2 0.0000 0.0000 0.8090
In1 0.0000 0.5000 0.0000
In2 0.0000 0.5000 0.3773
In3 0.0000 0.5000 0.6227
In4 0.5000 0.0000 0.0000
In5 0.5000 0.0000 0.3773
In6 0.5000 0.0000 0.6227
In7 0.5000 0.5000 0.1927
In8 0.5000 0.5000 0.8073
Pd1 0.0000 0.0000 0.5000
```

Properties
calculated formation energy: -4.94 eV/f.u.
electronic total energy: -41.7 eV/cell